The following is a GGA-PBE calculation of a relaxed WN2 crystal, from the Materials Project database.

Lattice parameters (Å, degrees): 9.744 9.744 3.041 90.00 90.00 90.00
Sites, in units of the cell vectors:
1 W 0.250 0.497 0.830
2 N 0.401 0.651 0.751
3 N 0.849 0.901 0.251
4 N 0.099 0.849 0.749
5 N 0.151 0.099 0.251
6 N 0.901 0.151 0.749
7 N 0.602 0.852 0.788
8 N 0.898 0.648 0.712
9 W 0.003 0.750 0.330
10 W 0.750 0.503 0.830
11 N 0.352 0.898 0.288
12 W 0.750 0.997 0.670
13 W 0.997 0.250 0.330
14 W 0.497 0.750 0.170
15 N 0.349 0.401 0.249
16 N 0.148 0.602 0.212
17 N 0.648 0.102 0.288
18 N 0.102 0.352 0.712
19 W 0.503 0.250 0.170
20 N 0.398 0.148 0.788
21 N 0.651 0.599 0.249
22 N 0.852 0.398 0.212
23 W 0.250 0.003 0.670
24 N 0.599 0.349 0.751

Results
**V**: 12.03 Å³ per atom
**Total energy after the MP2020 corrections**: -10.27 eV/atom
**Energy of formation**: -0.39 eV per atom
**E**: -240.69 eV per cell
**Symmetry**: No. 86